[1]
Density functional theory data (r²SCAN) for a geometry-optimized Nd10Se19 structure.

## Properties
Mass density, g cm⁻³: 6.61
Raw total energy, hartree per atom: -0.7891
Space-group type: No. 86

POSCAR file:
```
Nd10Se19
1.0
9.327 0.000 0.000
0.000 9.327 0.000
0.000 0.000 17.000
Nd Se
20 38
Cartesian
0.401 1.426 2.046
0.500 1.377 10.288
1.377 4.163 15.212
1.426 4.262 6.454
2.332 6.995 1.973
2.332 6.995 10.473
3.238 0.401 6.454
3.286 0.500 15.212
4.163 3.286 10.288
4.262 3.238 2.046
5.064 6.089 14.955
5.164 6.041 6.712
6.041 8.826 1.788
6.089 8.926 10.546
6.995 2.332 6.528
6.995 2.332 15.028
7.901 5.064 10.546
7.949 5.164 1.788
8.826 7.949 6.712
8.926 7.901 14.955
0.266 6.302 4.245
0.454 1.419 7.282
0.493 1.392 15.934
0.636 5.756 12.758
1.093 8.690 4.257
1.392 4.170 9.567
1.419 4.209 1.218
1.639 9.061 12.745
2.332 2.332 4.250
2.332 6.995 7.397
2.332 6.995 15.897
3.025 4.929 12.745
3.244 0.454 1.218
3.271 0.493 9.567
3.571 5.300 4.257
4.027 8.234 12.758
4.170 3.271 15.934
4.209 3.244 7.282
4.397 7.688 4.245
4.929 1.639 12.755
5.117 6.083 9.718
5.157 6.056 1.067
5.300 1.093 4.243
5.756 4.027 12.743
6.056 8.833 7.433
6.083 8.873 15.783
6.302 4.397 4.255
6.995 2.332 1.103
6.995 2.332 9.603
6.995 6.995 12.750
7.688 0.266 4.255
7.907 5.117 15.783
7.934 5.157 7.433
8.234 0.636 12.743
8.690 3.571 4.243
8.833 7.934 1.067
8.873 7.907 9.718
9.061 3.025 12.755
```

---

[2]
Density functional theory data (r²SCAN) for a geometry-optimized NdSi structure.

## Properties
Mass density, g cm⁻³: 5.92
Raw total energy, hartree per atom: -0.7322
Space-group type: No. 62

POSCAR file:
```
NdSi
1.0
8.278 0.000 0.000
0.000 3.937 0.000
0.000 0.000 5.936
Nd Si
4 4
Cartesian
1.484 0.984 0.674
2.655 2.953 3.642
5.623 0.984 2.293
6.794 2.953 5.261
0.290 0.984 3.684
3.849 2.953 0.716
4.428 0.984 5.220
7.988 2.953 2.252
```

---

[3]
Density functional theory data (r²SCAN) for a geometry-optimized Nd5Si3 structure.

## Properties
Mass density, g cm⁻³: 5.97
Raw total energy, hartree per atom: -0.8206
Space-group type: No. 193
Energy relative to the lowest polymorph listed for this composition, kJ/mol of formula units: 11

POSCAR file:
```
Nd5Si3
1.0
8.785 0.000 0.000
-4.392 7.608 0.000
0.000 0.000 6.710
Nd Si
10 6
Cartesian
-1.085 1.879 1.677
-3.308 5.729 5.032
2.170 0.000 1.677
1.085 1.879 5.032
0.000 5.072 0.000
0.000 5.072 3.355
4.392 2.536 0.000
4.392 2.536 3.355
6.615 0.000 5.032
3.308 5.729 1.677
-1.724 2.986 5.032
-2.668 4.621 1.677
3.448 0.000 5.032
1.724 2.986 1.677
5.336 0.000 1.677
2.668 4.621 5.032
```

---

[4]
Density functional theory data (r²SCAN) for a geometry-optimized Nd5Si4 structure.

## Properties
Mass density, g cm⁻³: 5.87
Raw total energy, hartree per atom: -0.7721
Space-group type: No. 62

POSCAR file:
```
Nd5Si4
1.0
7.801 0.000 0.000
0.000 15.193 0.000
0.000 0.000 7.958
Nd Si
20 16
Cartesian
0.317 1.533 1.490
0.317 6.064 1.490
1.065 11.395 4.051
1.480 1.844 5.423
1.480 5.752 5.423
2.421 9.441 1.444
2.421 13.349 1.444
2.835 3.798 0.072
3.583 9.129 5.468
3.583 13.660 5.468
4.218 1.533 2.489
4.218 6.064 2.489
4.966 11.395 7.886
5.380 1.844 6.514
5.380 5.752 6.514
6.321 9.441 2.535
6.321 13.349 2.535
6.736 3.798 3.907
7.484 9.129 6.468
7.484 13.660 6.468
0.137 11.395 0.764
1.034 8.217 3.785
1.034 14.573 3.785
1.909 11.395 6.999
1.991 3.798 3.020
2.866 0.620 7.764
2.866 6.976 7.764
3.764 3.798 4.743
4.037 11.395 3.215
4.935 8.217 0.193
4.935 14.573 0.193
5.810 11.395 4.938
5.892 3.798 0.959
6.767 0.620 4.172
6.767 6.976 4.172
7.664 3.798 7.193
```

---

[5]
Density functional theory data (r²SCAN) for a geometry-optimized Nd5Si4 structure.

## Properties
Mass density, g cm⁻³: 5.85
Raw total energy, hartree per atom: -0.7721
Space-group type: No. 92

POSCAR file:
```
Nd5Si4
1.0
7.902 0.000 0.000
0.000 7.902 0.000
0.000 0.000 15.155
Nd Si
20 16
Cartesian
0.082 2.986 0.788
0.147 6.896 1.894
0.965 4.033 4.576
1.006 7.754 5.684
1.509 6.393 11.366
2.442 2.442 7.578
2.945 3.804 13.260
2.986 0.082 14.367
3.804 2.945 1.895
3.869 6.936 3.001
4.033 0.965 10.579
4.098 4.957 9.473
4.916 7.820 6.790
4.957 4.098 5.682
5.459 5.459 0.000
6.393 1.509 3.789
6.896 0.147 13.261
6.936 3.869 12.154
7.754 1.006 9.471
7.820 4.916 8.365
0.613 5.624 14.259
1.342 1.551 12.108
1.551 1.342 3.047
1.673 3.337 10.470
2.278 7.288 8.474
2.399 5.293 0.741
2.609 5.502 6.836
3.337 1.673 4.685
4.564 6.229 12.262
5.293 2.399 14.414
5.502 2.609 8.319
5.624 0.613 0.896
6.229 4.564 2.893
6.350 6.560 10.625
6.560 6.350 4.530
7.288 2.278 6.681
```

---

[6]
Density functional theory data (r²SCAN) for a geometry-optimized Nd4Si5 structure.

## Properties
Mass density, g cm⁻³: 5.59
Raw total energy, hartree per atom: -0.6868
Space-group type: No. 38

POSCAR file:
```
Nd4Si5
1.0
3.962 0.000 0.000
0.000 2.140 12.577
0.000 -2.140 12.577
Nd Si
4 5
Cartesian
0.000 0.000 0.000
0.000 0.000 6.841
1.981 0.000 3.321
1.981 0.000 10.184
0.000 0.000 14.824
0.000 0.000 17.155
0.000 0.000 21.908
1.981 0.000 13.407
1.981 0.000 20.473
```

---

[7]
Density functional theory data (r²SCAN) for a geometry-optimized Nd2Si3 structure.

## Properties
Mass density, g cm⁻³: 5.24
Raw total energy, hartree per atom: -0.6509
Space-group type: No. 44

POSCAR file:
```
Nd2Si3
1.0
-1.972 2.110 7.100
1.972 -2.110 7.100
1.972 2.110 -7.100
Nd Si
2 3
Cartesian
0.000 0.000 0.000
0.000 2.110 3.588
1.972 0.000 2.335
1.972 0.000 4.665
0.000 0.000 6.007
```

---

[8]
Density functional theory data (r²SCAN) for a geometry-optimized Nd5Si3 structure.

## Properties
Mass density, g cm⁻³: 6.27
Raw total energy, hartree per atom: -0.8211
Space-group type: No. 140
Energy relative to the lowest polymorph listed for this composition, kJ/mol of formula units: 0

POSCAR file:
```
Nd5Si3
1.0
-3.913 3.913 6.962
3.913 -3.913 6.962
3.913 3.913 -6.962
Nd Si
10 6
Cartesian
0.000 0.000 0.000
5.304 1.391 -2.032
1.391 2.522 -2.032
5.304 1.391 2.032
1.391 2.522 2.032
0.000 0.000 6.962
2.522 1.391 4.931
-1.391 2.522 4.931
2.522 1.391 8.994
-1.391 2.522 8.994
3.020 0.893 0.000
0.000 0.000 3.481
3.020 -0.893 6.962
0.893 4.805 0.000
0.000 0.000 10.443
0.893 3.020 6.962
```

---

[9]
Density functional theory data (r²SCAN) for a geometry-optimized NdSi2 structure.

## Properties
Mass density, g cm⁻³: 5.32
Raw total energy, hartree per atom: -0.5987
Space-group type: No. 141

POSCAR file:
```
NdSi2
1.0
-2.161 2.161 6.699
2.161 -2.161 6.699
2.161 2.161 -6.699
Nd Si
2 4
Cartesian
2.161 1.081 1.675
0.000 1.081 5.024
2.161 -1.081 3.865
2.161 -1.081 6.184
0.000 3.242 0.515
0.000 3.242 2.834
```

---

[10]
Density functional theory data (r²SCAN) for a geometry-optimized Nd3Sm structure.

## Properties
Mass density, g cm⁻³: 6.80
Raw total energy, hartree per atom: -1.0830
Space-group type: No. 194
Energy relative to the lowest polymorph listed for this composition, kJ/mol of formula units: 1

POSCAR file:
```
Nd3Sm
1.0
7.493 0.000 0.000
-3.747 6.489 0.000
0.000 0.000 5.859
Nd Sm
6 2
Cartesian
0.000 2.165 1.465
-1.872 5.407 1.465
1.875 1.082 4.394
1.872 5.407 1.465
5.619 1.082 4.394
3.747 4.325 4.394
0.000 4.326 4.394
3.747 2.163 1.465
```

---

[11]
Density functional theory data (r²SCAN) for a geometry-optimized Nd3Sm structure.

## Properties
Mass density, g cm⁻³: 6.92
Raw total energy, hartree per atom: -1.0831
Space-group type: No. 221
Energy relative to the lowest polymorph listed for this composition, kJ/mol of formula units: 0

POSCAR file:
```
Nd3Sm
1.0
5.191 0.000 0.000
0.000 5.191 0.000
0.000 0.000 5.191
Nd Sm
3 1
Cartesian
0.000 0.000 2.596
0.000 2.596 0.000
2.596 0.000 0.000
2.596 2.596 2.596
```

---

[12]
Density functional theory data (r²SCAN) for a geometry-optimized NdSn3 structure.

## Properties
Mass density, g cm⁻³: 7.69
Raw total energy, hartree per atom: -0.9704
Space-group type: No. 221

POSCAR file:
```
NdSn3
1.0
4.763 0.000 0.000
0.000 4.763 0.000
0.000 0.000 4.763
Nd Sn
1 3
Cartesian
0.000 0.000 0.000
0.000 2.381 2.381
2.381 0.000 2.381
2.381 2.381 0.000
```